{
  "formula": "Cu9Se4Cl6O14",
  "functional": "PBE",
  "state": "relaxed",
  "sg": "P2_1/c",
  "total_energy_ev_per_atom": -4.5934,
  "e_form_ev_per_atom": -0.9079,
  "de_polymorph_ev_per_fu": 0.29,
  "cell": [[13.0912, 0.0000, 0.0000], [0.0000, 6.3597, 0.0000], [-7.5631, 0.0000, 13.1785]],
  "species": ["Cu", "Cu", "Cu", "Cu", "Cu", "Cu", "Cu", "Cu", "Cu", "Cu", "Cu", "Cu", "Cu", "Cu", "Cu", "Cu", "Cu", "Cu", "Se", "Se", "Se", "Se", "Se", "Se", "Se", "Se", "Cl", "Cl", "Cl", "Cl", "Cl", "Cl", "Cl", "Cl", "Cl", "Cl", "Cl", "Cl", "O", "O", "O", "O", "O", "O", "O", "O", "O", "O", "O", "O", "O", "O", "O", "O", "O", "O", "O", "O", "O", "O", "O", "O", "O", "O", "O", "O"],
  "frac_coords": [[0.0000, 0.0000, 0.0000], [0.0000, 0.5000, 0.5000], [0.2300, 0.0169, 0.7846], [0.2300, 0.4831, 0.2846], [0.2858, 0.0112, 0.1162], [0.2858, 0.4888, 0.6162], [0.4082, 0.0267, 0.3804], [0.4082, 0.4733, 0.8804], [0.5003, 0.2430, 0.7504], [0.5003, 0.2570, 0.2504], [0.4997, 0.7430, 0.7496], [0.4997, 0.7570, 0.2496], [0.5918, 0.5267, 0.1196], [0.5918, 0.9733, 0.6196], [0.7142, 0.5112, 0.3838], [0.7142, 0.9888, 0.8838], [0.7700, 0.5169, 0.7154], [0.7700, 0.9831, 0.2154], [0.1330, 0.5172, 0.7456], [0.1330, 0.9828, 0.2456], [0.3007, 0.5040, 0.0394], [0.3007, 0.9960, 0.5394], [0.6993, 0.0040, 0.4606], [0.6993, 0.4960, 0.9606], [0.8670, 0.0172, 0.7544], [0.8670, 0.4828, 0.2544], [0.0514, 0.0372, 0.6505], [0.0514, 0.4628, 0.1505], [0.1407, 0.0274, 0.9486], [0.1407, 0.4726, 0.4486], [0.4284, 0.0054, 0.8665], [0.4284, 0.4946, 0.3665], [0.5716, 0.5054, 0.6335], [0.5716, 0.9946, 0.1335], [0.8593, 0.5274, 0.5514], [0.8593, 0.9726, 0.0514], [0.9486, 0.5372, 0.8495], [0.9486, 0.9628, 0.3495], [0.1346, 0.5365, 0.6316], [0.1346, 0.9635, 0.1316], [0.2323, 0.7156, 0.8144], [0.2323, 0.7844, 0.3144], [0.2468, 0.1747, 0.3101], [0.2468, 0.3253, 0.8101], [0.3401, 0.1942, 0.6300], [0.3401, 0.3058, 0.1300], [0.3439, 0.7149, 0.1228], [0.3439, 0.7851, 0.6228], [0.4190, 0.0138, 0.5169], [0.4190, 0.4862, 0.0169], [0.4204, 0.0061, 0.2585], [0.4204, 0.4939, 0.7585], [0.5796, 0.5061, 0.2415], [0.5796, 0.9939, 0.7415], [0.5810, 0.5138, 0.9831], [0.5810, 0.9862, 0.4831], [0.6561, 0.2149, 0.3772], [0.6561, 0.2851, 0.8772], [0.6599, 0.6942, 0.8700], [0.6599, 0.8058, 0.3700], [0.7532, 0.6747, 0.1899], [0.7532, 0.8253, 0.6899], [0.7677, 0.2156, 0.6856], [0.7677, 0.2844, 0.1856], [0.8654, 0.0365, 0.8684], [0.8654, 0.4635, 0.3684]]
}